Below is LiCrPO4 after structural relaxation, with properties calculated at the PBE+U level.

V in Å³ per atom: 13.208
Formation energy from the elements in meV/atom: -2044
Energy above the lowest structure with this stoichiometry in meV per atom: 522.5
Size of the total moment in μB/f.u.: 0.08

The structure in POSCAR format:
```
LiCrPO4
1.0
2.507 -9.772 -1.113
9.231 -3.267 2.672
-1.709 -7.470 15.871
Li Cr P O
16 16 16 64
Cartesian
5.817 -13.550 14.008
1.579 -8.707 4.414
8.418 -14.085 10.264
3.097 -7.763 9.665
7.522 -5.985 2.606
4.268 -9.813 0.641
1.015 -11.322 12.682
4.595 -8.697 14.528
8.985 -6.853 7.512
6.144 -10.326 5.776
3.828 -12.467 8.943
7.732 -9.370 11.008
8.767 -10.840 2.043
3.039 -4.911 1.216
2.285 -16.243 12.156
4.354 -5.184 6.145
5.607 -15.332 11.337
4.212 -7.032 3.378
10.187 -14.005 4.194
6.954 -15.624 16.203
1.216 -9.569 15.387
2.319 -11.100 6.479
6.128 -7.997 8.441
3.970 -10.175 11.658
10.222 -16.880 12.630
5.417 -11.871 2.827
8.986 -9.155 4.823
5.700 -10.736 16.800
2.483 -14.432 14.805
6.956 -12.715 7.787
1.518 -6.368 7.141
8.536 -11.762 12.999
7.937 -12.635 16.070
4.689 -16.462 14.087
9.169 -14.597 7.072
3.877 -8.305 6.442
1.496 -10.591 9.688
5.379 -7.501 11.701
6.548 -8.935 2.822
0.777 -2.935 1.973
9.177 -17.497 15.493
3.494 -11.583 14.643
4.565 -12.988 5.755
8.478 -9.888 7.804
6.144 -12.234 11.011
0.767 -5.853 10.384
5.276 -4.025 3.400
2.053 -7.811 1.412
2.240 -6.203 10.642
3.514 -16.328 15.089
7.654 -12.855 14.560
4.179 -16.008 12.683
6.986 -13.543 16.893
5.878 -15.536 14.481
9.406 -13.238 11.805
2.368 -9.299 1.011
3.138 -7.736 7.685
4.154 -7.141 5.458
10.043 -13.616 6.235
0.199 -9.719 13.656
9.442 -14.345 8.574
7.608 -15.777 10.883
2.993 -9.363 5.707
2.700 -8.156 15.170
6.161 -7.422 2.841
2.359 -9.485 10.342
7.022 -6.286 7.775
5.059 -7.844 10.213
8.546 -5.851 4.267
1.189 -11.699 10.740
4.414 -8.365 12.579
2.264 -11.273 8.518
8.969 -16.008 15.898
5.206 -8.986 6.880
5.348 -9.766 2.311
1.779 -1.989 1.249
6.892 -7.830 11.976
2.301 -11.454 15.630
3.017 -11.149 13.235
8.851 -17.677 13.980
0.959 -2.698 3.508
6.968 -9.431 4.238
3.043 -12.770 5.438
7.783 -9.120 1.896
8.241 -18.415 16.314
4.670 -10.648 15.068
1.114 -4.384 1.591
4.792 -11.655 10.487
7.731 -9.341 9.046
5.477 -12.052 4.918
8.733 -8.694 6.831
1.447 -14.588 13.053
2.998 -14.127 9.560
4.827 -12.723 7.261
4.009 -13.052 14.622
7.620 -10.943 7.045
7.380 -12.290 2.248
6.979 -11.096 11.646
2.399 -4.683 6.478
0.430 -6.203 8.905
9.820 -10.729 3.712
-0.183 -6.711 11.281
5.909 -13.363 12.058
7.737 -11.138 16.497
6.904 -12.878 9.818
0.581 -7.299 5.560
4.096 -4.896 2.904
3.055 -6.875 0.668
5.668 -4.458 4.845
2.247 -7.552 2.943
6.533 -4.235 2.505
7.664 -14.362 6.747
```



Below is LiCrPO4 after structural relaxation, with properties calculated at the PBE+U level.

V in Å³ per atom: 12.538
Formation energy from the elements in meV/atom: -2499
Energy above the lowest structure with this stoichiometry in meV per atom: 67.4
Size of the total moment in μB/f.u.: 4.00

The structure in POSCAR format:
```
LiCrPO4
1.0
-1.258 -8.337 5.621
4.142 -1.741 -1.656
4.149 2.895 5.223
Li Cr P O
4 4 4 16
Cartesian
3.682 -3.147 1.814
1.538 -5.968 4.854
5.542 -0.905 4.126
3.202 -5.031 8.046
3.681 -1.323 -0.974
2.839 0.149 2.364
4.616 -4.539 4.942
3.959 -1.841 7.453
0.795 -1.928 1.091
3.860 -7.388 6.375
2.792 -2.322 4.517
6.348 -4.530 7.608
0.300 -2.809 2.257
2.060 -2.492 0.430
3.473 -6.569 2.630
1.003 -0.530 1.832
2.621 -7.813 5.506
3.133 -1.751 3.114
1.042 -6.217 7.467
2.718 -3.883 4.441
4.881 0.451 2.219
5.612 -3.480 3.416
3.840 -5.836 6.347
4.026 -1.932 5.410
6.330 -4.669 6.019
3.850 1.307 5.263
5.098 -3.867 8.203
6.487 -6.007 8.033
```



Below is Li3CrP2O8 after structural relaxation, with properties calculated at the PBE+U level.

V in Å³ per atom: 9.965
Formation energy from the elements in meV/atom: -2666
Energy above the lowest structure with this stoichiometry in meV per atom: 3.4

The structure in POSCAR format:
```
Li3CrP2O8
1.0
17.746 0.000 0.000
0.000 4.932 0.000
0.000 4.584 6.376
Li Cr P O
12 4 8 32
Cartesian
7.884 8.476 5.011
3.523 6.232 4.392
5.350 3.940 1.204
9.862 1.039 1.366
0.989 6.184 1.822
14.223 3.283 1.984
10.947 8.134 6.363
2.074 3.674 3.201
16.756 3.331 4.554
6.799 1.382 0.013
12.396 5.575 5.172
15.672 5.842 3.175
11.138 3.269 3.286
6.608 6.246 3.091
15.481 0.977 0.097
2.265 8.538 6.279
8.243 3.743 1.746
9.503 5.772 4.630
5.056 3.821 4.539
13.928 7.986 5.025
3.817 1.529 1.351
17.116 3.480 1.442
0.630 6.035 4.934
12.690 5.694 1.837
5.369 1.783 1.514
7.682 3.015 2.997
7.737 3.103 0.469
1.191 5.307 6.185
12.294 4.903 3.122
3.050 2.030 2.564
14.210 4.581 5.232
14.696 7.485 3.813
16.680 1.960 1.425
10.009 6.412 5.907
5.452 4.613 3.254
16.555 4.208 0.191
1.065 7.555 4.951
7.927 5.744 4.602
14.242 5.441 1.674
12.377 7.733 4.862
16.800 6.063 4.963
12.408 2.290 2.044
7.807 5.263 1.763
9.938 4.252 4.613
5.823 4.322 5.752
14.325 7.195 6.310
1.136 5.395 3.657
9.819 3.771 1.775
3.504 4.074 4.702
3.421 2.321 0.066
10.064 6.500 3.379
0.946 3.452 1.414
11.923 5.194 0.625
5.338 7.226 4.332
16.610 4.120 2.719
3.535 4.934 1.144
```



Below is LiCrP4O12 after structural relaxation, with properties calculated at the PBE+U level.

V in Å³ per atom: 13.565
Formation energy from the elements in meV/atom: -2565
Energy above the lowest structure with this stoichiometry in meV per atom: 76.7
Size of the total moment in μB/f.u.: 3.00

The structure in POSCAR format:
```
LiCrP4O12
1.0
-6.705 -3.669 3.872
-1.471 -8.440 -0.096
1.881 -4.405 7.779
Li Cr P O
2 2 8 24
Cartesian
0.940 -2.203 3.889
0.000 0.000 0.000
-1.819 -10.141 7.071
-4.477 -6.373 4.484
-2.380 -5.232 2.209
-4.266 -3.290 3.347
-6.132 -8.139 6.717
-4.262 -9.621 5.006
-2.034 -6.893 6.549
-0.163 -8.376 4.839
-2.029 -13.224 8.209
-3.915 -11.283 9.346
-4.594 -4.326 4.419
-0.405 -9.999 8.532
-0.923 -5.027 2.772
-3.076 -3.792 2.370
-3.239 -10.288 8.448
-5.336 -9.446 6.188
-5.017 -10.465 3.912
-5.816 -7.815 8.128
-3.086 -10.418 5.500
-3.573 -7.224 10.375
-5.968 -6.954 5.767
-2.335 -8.228 7.164
-3.960 -8.286 4.392
-0.328 -9.560 5.788
-2.722 -9.291 1.180
-3.210 -6.096 6.056
-0.479 -8.699 3.427
-1.278 -6.049 7.644
-0.959 -7.068 5.367
-3.056 -6.226 3.107
-3.219 -12.722 9.185
-5.372 -11.487 8.783
-5.890 -6.516 3.024
-1.702 -12.188 7.136
```



Below is Li2Cr5P4O16 after structural relaxation, with properties calculated at the PBE+U level.

V in Å³ per atom: 12.475
Formation energy from the elements in meV/atom: -2499
Energy above the lowest structure with this stoichiometry in meV per atom: 0.0
Size of the total moment in μB/f.u.: 20.00

The structure in POSCAR format:
```
Li2Cr5P4O16
1.0
-4.091 -2.952 2.221
2.866 -1.207 7.432
-2.120 5.874 5.974
Li Cr P O
2 5 4 16
Cartesian
-3.783 2.183 6.416
0.438 -0.468 9.211
-3.786 1.694 9.862
-0.553 2.415 10.431
-2.793 -0.700 5.195
0.000 0.000 0.000
0.441 0.021 5.765
-1.189 2.843 5.274
-0.765 -2.771 6.690
-2.581 4.486 8.937
-2.156 -1.128 10.353
-2.342 0.135 9.526
0.885 1.593 9.250
-3.499 3.315 8.523
-0.888 -0.796 4.354
-2.292 -2.416 9.439
0.154 -1.600 7.104
-2.232 -2.236 6.543
-1.054 4.131 6.188
-0.567 -0.212 1.959
-4.230 0.122 6.377
-2.779 1.927 13.668
-1.003 1.580 6.101
-2.662 2.873 4.755
-0.684 -1.158 10.872
-2.458 2.511 11.273
-1.113 3.951 9.084
```



Below is LiCr4P3O12 after structural relaxation, with properties calculated at the PBE+U level.

V in Å³ per atom: 13.003
Formation energy from the elements in meV/atom: -2437
Energy above the lowest structure with this stoichiometry in meV per atom: 61.7
Size of the total moment in μB/f.u.: 16.00

The structure in POSCAR format:
```
LiCr4P3O12
1.0
-3.057 -2.440 5.210
6.447 -7.774 0.142
9.647 8.173 9.488
Li Cr P O
4 16 12 48
Cartesian
6.292 2.100 10.786
2.964 -0.726 3.436
10.072 -1.316 11.404
6.744 -4.142 4.054
5.522 4.231 7.259
-0.663 -1.365 5.082
9.247 4.644 11.660
10.765 5.856 9.074
4.456 0.497 6.936
2.939 -0.714 9.522
8.020 1.130 7.272
1.921 -4.393 5.180
11.115 2.352 9.660
5.016 -3.172 7.568
10.098 -1.328 5.318
8.580 -2.539 7.904
3.789 -6.686 3.180
2.271 -7.898 5.766
13.699 -0.676 9.758
7.514 -6.273 7.582
3.348 2.574 9.281
0.100 -0.446 1.887
8.000 4.058 8.632
2.185 -1.897 6.504
6.065 -0.800 9.295
2.912 -3.739 1.994
10.124 1.697 12.846
6.971 -1.242 5.546
10.851 -0.145 8.336
5.036 -6.100 6.209
12.936 -1.596 12.954
9.688 -4.616 5.560
6.953 5.210 8.557
4.633 3.186 8.768
3.467 2.256 10.755
1.442 -0.018 1.328
0.281 -0.945 3.306
9.215 6.481 10.479
7.598 5.076 12.946
3.039 1.211 8.461
4.497 2.243 5.726
2.891 -0.666 5.868
1.670 -1.640 7.949
7.344 2.962 7.734
1.004 -2.358 5.595
9.352 4.509 8.009
8.130 3.535 10.090
9.453 3.107 13.112
11.177 4.364 10.639
6.091 0.053 5.636
4.758 -1.111 8.382
5.583 -0.498 10.699
6.743 0.428 8.721
3.760 -2.601 1.472
2.594 -3.531 3.459
3.125 -3.140 6.474
9.911 1.098 8.367
10.442 1.489 11.381
9.276 0.559 13.369
7.454 -1.543 4.141
6.293 -2.470 6.119
8.278 -0.931 6.458
6.945 -2.095 9.204
1.860 -6.406 4.201
3.583 -5.149 1.728
4.906 -5.576 4.750
3.685 -6.551 6.831
12.032 0.316 9.245
5.692 -5.004 7.106
11.367 -0.401 6.892
10.145 -1.376 8.973
8.539 -4.285 9.114
9.997 -3.253 6.379
5.439 -7.117 1.895
3.821 -8.523 4.361
12.755 -1.097 11.534
11.594 -2.024 13.513
9.569 -4.297 4.086
8.403 -5.228 6.073
6.083 -7.252 6.283
```



- Which formula does entry 6 have?
  LiCr4P3O12